# NaEuNbSnO6

A relaxed NaEuNbSnO6 crystal (PBE, the Materials Project database).

Computed properties:
- V: 133.84 Å³/f.u.
- Formation energy: -2686 meV/atom

Geometry as CIF:
```
data_NaEuNbSnO6
_symmetry_space_group_name_H-M 'F -4 3 m'
_symmetry_Int_Tables_number 216
_symmetry_space_group_name_Hall 'F -4 2 3'
_cell_length_a 8.120
_cell_length_b 8.120
_cell_length_c 8.120
_cell_angle_alpha 90.00
_cell_angle_beta 90.00
_cell_angle_gamma 90.00
loop_
_atom_site_label
_atom_site_fract_x
_atom_site_fract_y
_atom_site_fract_z
Na1 0.000 0.000 0.000
Eu1 0.000 0.000 0.500
Nb1 0.250 0.250 0.250
Sn1 0.250 0.250 0.750
O1 0.003 0.250 0.250
```

=====

# Ta4BTe8

A relaxed Ta4BTe8 crystal (PBE, the Materials Project database).

Computed properties:
- V: 355.85 Å³/f.u.
- Formation energy: -673 meV/atom

Geometry as CIF:
```
data_Ta4BTe8
_symmetry_space_group_name_H-M 'P b a m'
_symmetry_Int_Tables_number 55
_cell_length_a 11.615
_cell_length_b 16.914
_cell_length_c 3.623
_cell_angle_alpha 90.00
_cell_angle_beta 90.00
_cell_angle_gamma 90.00
loop_
_symmetry_equiv_pos_as_xyz
'x,y,z'
'-x,-y,-z'
'-x,-y,z'
'x,y,-z'
'x+1/2,-y+1/2,-z'
'-x+1/2,y+1/2,z'
'-x+1/2,y+1/2,-z'
'x+1/2,-y+1/2,z'
loop_
_atom_site_label
_atom_site_fract_x
_atom_site_fract_y
_atom_site_fract_z
Ta1 0.073 0.071 0.000
Ta2 0.157 0.925 0.500
B1 0.000 0.000 0.500
Te1 0.089 0.808 0.000
Te2 0.128 0.329 0.500
Te3 0.200 0.506 0.000
Te4 0.203 0.171 0.500
```

=====

# VFeAs2

A relaxed VFeAs2 crystal (PBE, the Materials Project database).

Computed properties:
- V: 58.06 Å³/f.u.
- Formation energy: -322 meV/atom
- Total moment: 0.258 μB per atom

Geometry as CIF:
```
data_VFeAs2
_symmetry_space_group_name_H-M 'P m c 21'
_symmetry_Int_Tables_number 26
_cell_length_a 3.350
_cell_length_b 6.192
_cell_length_c 5.598
_cell_angle_alpha 90.00
_cell_angle_beta 90.00
_cell_angle_gamma 90.00
loop_
_symmetry_equiv_pos_as_xyz
'x,y,z'
'-x,-y,z+1/2'
'-x,y,z'
'x,-y,z+1/2'
loop_
_atom_site_label
_atom_site_fract_x
_atom_site_fract_y
_atom_site_fract_z
V1 0.000 0.049 0.000
Fe1 0.500 0.438 0.990
As1 0.000 0.336 0.693
As2 0.500 0.187 0.304
```

=====

# DyGa6Co6

A relaxed DyGa6Co6 crystal (PBE, the Materials Project database).

Computed properties:
- V: 177.87 Å³/f.u.
- Formation energy: -333 meV/atom

Geometry as CIF:
```
data_DyGa6Co6
_symmetry_space_group_name_H-M 'I m m m'
_symmetry_Int_Tables_number 71
_symmetry_space_group_name_Hall '-I 2 2'
_cell_length_a 5.046
_cell_length_b 8.179
_cell_length_c 8.620
_cell_angle_alpha 90.00
_cell_angle_beta 90.00
_cell_angle_gamma 90.00
loop_
_atom_site_label
_atom_site_fract_x
_atom_site_fract_y
_atom_site_fract_z
Dy1 0.000 0.000 0.000
Ga1 0.000 0.000 0.345
Ga2 0.000 0.341 0.000
Ga3 0.000 0.500 0.313
Co1 0.000 0.261 0.500
Co2 0.250 0.250 0.250
```